Record 1
# Li12V3CoP4C4O28, optimized geometry, DFT PBE+U
data_Li12V3CoP4C4O28
_cell_length_a 8.4817
_cell_length_b 6.5947
_cell_length_c 10.0079
_cell_angle_alpha 90.00
_cell_angle_beta 95.37
_cell_angle_gamma 90.00
_space_group_name_H-M_alt 'P 1'
_space_group_IT_number 1
loop_
_space_group_symop_operation_xyz
'x,y,z'
loop_
_atom_site_label
_atom_site_fract_x
_atom_site_fract_y
_atom_site_fract_z
Li1 0.0000 0.0000 0.0000
Li2 0.0009 0.0000 0.5001
Li3 0.1808 0.2280 0.7621
Li4 0.1808 0.7720 0.7621
Li5 0.1816 0.2267 0.2574
Li6 0.1816 0.7733 0.2574
Li7 0.6228 0.2761 0.5102
Li8 0.6232 0.2779 0.0105
Li9 0.6232 0.7221 0.0105
Li10 0.6228 0.7239 0.5102
Li11 0.8033 0.5000 0.7691
Li12 0.8056 0.5000 0.2694
V1 0.2313 0.5000 0.4889
V2 0.5736 0.0000 0.2815
V3 0.5738 0.0000 0.7805
Co1 0.2337 0.5000 0.9903
P1 0.3129 0.0000 0.5244
P2 0.3138 0.0000 0.0242
P3 0.4906 0.5000 0.7462
P4 0.4918 0.5000 0.2459
C1 0.8677 0.0000 0.2325
C2 0.8677 0.0000 0.7326
C3 0.9369 0.5000 0.5372
C4 0.9396 0.5000 0.0356
O1 0.0136 0.0000 0.2045
O2 0.0137 0.0000 0.7048
O3 0.0519 0.5000 0.6330
O4 0.0566 0.5000 0.1302
O5 0.2096 0.1831 0.4715
O6 0.2096 0.8169 0.4715
O7 0.2113 0.1858 0.9729
O8 0.2113 0.8142 0.9729
O9 0.3245 0.5000 0.7981
O10 0.3252 0.5000 0.2964
O11 0.3334 0.0000 0.1808
O12 0.3341 0.0000 0.6812
O13 0.4693 0.5000 0.0889
O14 0.4708 0.5000 0.5892
O15 0.4795 0.0000 0.4736
O16 0.4800 0.0000 0.9730
O17 0.5944 0.3170 0.7984
O18 0.5944 0.6830 0.7984
O19 0.5959 0.3175 0.2989
O20 0.5959 0.6825 0.2989
O21 0.7527 0.0000 0.1366
O22 0.7526 0.0000 0.6365
O23 0.7910 0.5000 0.5652
O24 0.7941 0.5000 0.0663
O25 0.8296 0.0000 0.3554
O26 0.8295 0.0000 0.8552
O27 0.9751 0.5000 0.4143
O28 0.9747 0.5000 0.9127
# - energy relative to the elements (eV/f.u.) = -124.5
# - total energy (eV per atom) = -6.79

***

Record 2
# Li7Mn8B8O24, optimized geometry, DFT PBE+U
data_Li7Mn8B8O24
_cell_length_a 5.2456
_cell_length_b 9.1426
_cell_length_c 10.4636
_cell_angle_alpha 88.01
_cell_angle_beta 88.86
_cell_angle_gamma 89.89
_space_group_name_H-M_alt 'P 1'
_space_group_IT_number 1
loop_
_space_group_symop_operation_xyz
'x,y,z'
loop_
_atom_site_label
_atom_site_fract_x
_atom_site_fract_y
_atom_site_fract_z
Li1 0.0000 0.0000 0.0000
Li2 0.0120 0.9958 0.5016
Li3 0.1438 0.1697 0.7461
Li4 0.1841 0.1503 0.2525
Li5 0.5015 0.4978 0.0173
Li6 0.6460 0.6701 0.7535
Li7 0.6743 0.6514 0.2552
Mn1 0.0014 0.6560 0.5380
Mn2 0.0073 0.3250 0.0330
Mn3 0.1538 0.8312 0.7817
Mn4 0.1622 0.4887 0.2846
Mn5 0.5053 0.8299 0.0343
Mn6 0.5059 0.1778 0.5316
Mn7 0.6576 0.3369 0.7834
Mn8 0.6713 0.9873 0.2877
B1 0.0039 0.6614 0.0500
B2 0.1679 0.5004 0.7981
B3 0.1757 0.8237 0.2916
B4 0.5008 0.8404 0.5471
B5 0.5087 0.1580 0.0440
B6 0.6578 0.0043 0.7927
B7 0.6647 0.3263 0.2806
B8 0.9885 0.3287 0.5307
O1 0.0194 0.6154 0.7500
O2 0.0287 0.6970 0.3198
O3 0.0514 0.3644 0.8274
O4 0.0650 0.9592 0.3073
O5 0.1094 0.4512 0.4692
O6 0.1140 0.1970 0.5480
O7 0.1202 0.7877 0.0015
O8 0.1557 0.5382 0.0914
O9 0.2359 0.8466 0.5737
O10 0.2465 0.1451 0.0595
O11 0.4240 0.5178 0.8210
O12 0.4279 0.8098 0.2509
O13 0.5116 0.1233 0.7496
O14 0.5312 0.2007 0.3198
O15 0.5395 0.8706 0.8264
O16 0.5436 0.4586 0.2722
O17 0.6187 0.2899 0.0015
O18 0.6278 0.9652 0.4967
O19 0.6323 0.7148 0.5722
O20 0.6639 0.0374 0.0750
O21 0.7442 0.6493 0.0594
O22 0.7446 0.3476 0.5788
O23 0.9197 0.0158 0.8066
O24 0.9271 0.3144 0.2487
# - energy relative to the elements (eV/f.u.) = -116.7
# - total energy (eV per atom) = -7.36

***

Record 3
# Li9Mn2Co5O16, optimized geometry, DFT PBE+U
data_Li9Mn2Co5O16
_cell_length_a 5.1848
_cell_length_b 2.8935
_cell_length_c 19.3809
_cell_angle_alpha 90.00
_cell_angle_beta 96.44
_cell_angle_gamma 90.00
_space_group_name_H-M_alt 'P 1'
_space_group_IT_number 1
loop_
_space_group_symop_operation_xyz
'x,y,z'
loop_
_atom_site_label
_atom_site_fract_x
_atom_site_fract_y
_atom_site_fract_z
Li1 0.0000 0.0000 0.0000
Li2 0.1229 0.5000 0.8778
Li3 0.1267 0.0000 0.3723
Li4 0.3743 0.5000 0.6281
Li5 0.3771 0.0000 0.1206
Li6 0.6229 0.0000 0.8794
Li7 0.6257 0.5000 0.3719
Li8 0.8733 0.0000 0.6277
Li9 0.8771 0.5000 0.1222
Mn1 0.0000 0.5000 0.5000
Mn2 0.5000 0.0000 0.5000
Co1 0.2491 0.0000 0.7508
Co2 0.2507 0.5000 0.2486
Co3 0.5000 0.5000 0.0000
Co4 0.7493 0.5000 0.7514
Co5 0.7509 0.0000 0.2492
O1 0.0624 0.5000 0.6919
O2 0.0663 0.0000 0.1906
O3 0.1587 0.0000 0.5586
O4 0.2355 0.5000 0.0528
O5 0.3322 0.0000 0.9449
O6 0.3426 0.5000 0.4412
O7 0.4325 0.0000 0.3067
O8 0.4346 0.5000 0.8084
O9 0.5654 0.5000 0.1916
O10 0.5675 0.0000 0.6933
O11 0.6574 0.5000 0.5588
O12 0.6678 0.0000 0.0551
O13 0.7645 0.5000 0.9472
O14 0.8413 0.0000 0.4414
O15 0.9337 0.0000 0.8094
O16 0.9376 0.5000 0.3081
# - energy relative to the elements (eV/f.u.) = -57.3
# - total energy (eV per atom) = -5.78
# - distance to the lowest polymorph of the same formula (eV per atom) = 0.074

***

Record 4
# CsUVO6, optimized geometry, DFT PBE+U
data_CsUVO6
_cell_length_a 7.1624
_cell_length_b 10.9650
_cell_length_c 9.8150
_cell_angle_alpha 90.00
_cell_angle_beta 90.04
_cell_angle_gamma 90.00
_space_group_name_H-M_alt 'P 1'
_space_group_IT_number 1
loop_
_space_group_symop_operation_xyz
'x,y,z'
loop_
_atom_site_label
_atom_site_fract_x
_atom_site_fract_y
_atom_site_fract_z
Cs1 0.0242 0.2396 0.2752
Cs2 0.0242 0.2604 0.7752
Cs3 0.9758 0.7396 0.2248
Cs4 0.9758 0.7604 0.7248
U1 0.4959 0.0007 0.8053
U2 0.4959 0.4993 0.3053
U3 0.5041 0.5007 0.6947
U4 0.5041 0.9993 0.1947
V1 0.4662 0.7105 0.9912
V2 0.4662 0.7895 0.4912
V3 0.5338 0.2105 0.5088
V4 0.5338 0.2895 0.0088
O1 0.2358 0.7005 0.9809
O2 0.2358 0.7995 0.4809
O3 0.2466 0.5343 0.3115
O4 0.2466 0.9657 0.8115
O5 0.2545 0.5353 0.6961
O6 0.2545 0.9647 0.1961
O7 0.4319 0.1489 0.6572
O8 0.4319 0.3511 0.1572
O9 0.4532 0.1338 0.3626
O10 0.4532 0.3662 0.8626
O11 0.4635 0.1293 0.0002
O12 0.4635 0.3707 0.5002
O13 0.5365 0.6293 0.4998
O14 0.5365 0.8707 0.9998
O15 0.5468 0.6338 0.1374
O16 0.5468 0.8662 0.6374
O17 0.5681 0.6489 0.8428
O18 0.5681 0.8511 0.3428
O19 0.7455 0.0353 0.8039
O20 0.7455 0.4647 0.3039
O21 0.7534 0.0343 0.1885
O22 0.7534 0.4657 0.6885
O23 0.7642 0.2005 0.5191
O24 0.7642 0.2995 0.0191
# - energy relative to the elements (eV/f.u.) = -26.6
# - total energy (eV per atom) = -7.97
# - distance to the lowest polymorph of the same formula (eV per atom) = 0.057

***

Which of these has the lowest total energy?
CsUVO6